No. 1
# Hf3Sb7Pd r2SCAN optimized geometry
# M_tot ... 0.00 μB per cell
# Calculated total energy ... -31.23 eV/atom
data_Hf3Sb7Pd
_chemical_formula_sum 'Hf12 Sb28 Pd4'
_space_group_name_H-M_alt 'P n m a'
_space_group_IT_number 62
_space_group_name_Hall '-P 2ac 2n'
_cell_length_a 17.546
_cell_length_b 3.966
_cell_length_c 14.634
_cell_angle_alpha 90.00
_cell_angle_beta 90.00
_cell_angle_gamma 90.00
loop_
_atom_site_label
_atom_site_type_symbol
_atom_site_fract_x
_atom_site_fract_y
_atom_site_fract_z
Hf1 Hf 0.107 0.250 0.087
Hf2 Hf 0.130 0.250 0.532
Hf3 Hf 0.152 0.250 0.811
Sb1 Sb 0.020 0.750 0.195
Sb2 Sb 0.037 0.750 0.429
Sb3 Sb 0.072 0.750 0.940
Sb4 Sb 0.094 0.750 0.677
Sb5 Sb 0.217 0.250 0.321
Sb6 Sb 0.227 0.750 0.148
Sb7 Sb 0.248 0.750 0.481
Pd1 Pd 0.064 0.250 0.310

=====

No. 2
# Hf2TcPd r2SCAN optimized geometry
# M_tot ... 0.00 μB per cell
# Calculated total energy ... -35.46 eV/atom
data_Hf2TcPd
_chemical_formula_sum 'Hf8 Tc4 Pd4'
_space_group_name_H-M_alt 'F m -3 m'
_space_group_IT_number 225
_space_group_name_Hall '-F 4 2 3'
_cell_length_a 6.537
_cell_length_b 6.537
_cell_length_c 6.537
_cell_angle_alpha 90.00
_cell_angle_beta 90.00
_cell_angle_gamma 90.00
loop_
_atom_site_label
_atom_site_type_symbol
_atom_site_fract_x
_atom_site_fract_y
_atom_site_fract_z
Hf1 Hf 0.250 0.250 0.250
Tc1 Tc 0.000 0.000 0.000
Pd1 Pd 0.000 0.000 0.500

=====

No. 3
# Pr3HfSb5 r2SCAN optimized geometry
# M_tot ... 0.00 μB per cell
# Calculated total energy ... -30.18 eV/atom
data_Pr3HfSb5
_chemical_formula_sum 'Pr6 Hf2 Sb10'
_space_group_name_H-M_alt 'P 63/m c m'
_space_group_IT_number 193
_space_group_name_Hall '-P 6c 2'
_cell_length_a 9.6644
_cell_length_b 9.6644
_cell_length_c 6.2620
_cell_angle_alpha 90.00
_cell_angle_beta 90.00
_cell_angle_gamma 120.00
loop_
_atom_site_label
_atom_site_type_symbol
_atom_site_fract_x
_atom_site_fract_y
_atom_site_fract_z
Pr1 Pr 0.0000 0.3803 0.2500
Hf1 Hf 0.0000 0.0000 0.0000
Sb1 Sb 0.0000 0.2584 0.7500
Sb2 Sb 0.3333 0.6667 0.0000

=====

No. 4
# HfPt3 r2SCAN optimized geometry
# M_tot ... 0.00 μB per cell
# Calculated total energy ... -51.09 eV/atom
data_HfPt3
_chemical_formula_sum 'Hf4 Pt12'
_space_group_name_H-M_alt 'P 63/m m c'
_space_group_IT_number 194
_space_group_name_Hall '-P 6c 2c'
_cell_length_a 5.6630
_cell_length_b 5.6630
_cell_length_c 9.2524
_cell_angle_alpha 90.00
_cell_angle_beta 90.00
_cell_angle_gamma 120.00
loop_
_atom_site_label
_atom_site_type_symbol
_atom_site_fract_x
_atom_site_fract_y
_atom_site_fract_z
Hf1 Hf 0.0000 0.0000 0.0000
Hf2 Hf 0.3333 0.6667 0.2500
Pt1 Pt 0.0000 0.5000 0.0000
Pt2 Pt 0.1694 0.3388 0.7500

=====

No. 5
# Hf2Pt3 r2SCAN optimized geometry
# M_tot ... 0.00 μB per cell
# Calculated total energy ... -50.17 eV/atom
data_Hf2Pt3
_chemical_formula_sum 'Hf4 Pt6'
_space_group_name_H-M_alt 'I 4/m m m'
_space_group_IT_number 139
_space_group_name_Hall '-I 4 2'
_cell_length_a 3.455
_cell_length_b 3.455
_cell_length_c 14.686
_cell_angle_alpha 90.00
_cell_angle_beta 90.00
_cell_angle_gamma 90.00
loop_
_atom_site_label
_atom_site_type_symbol
_atom_site_fract_x
_atom_site_fract_y
_atom_site_fract_z
Hf1 Hf 0.000 0.000 0.111
Pt1 Pt 0.000 0.000 0.306
Pt2 Pt 0.000 0.000 0.500

=====

No. 6
# HfPt3 r2SCAN optimized geometry
# M_tot ... 0.00 μB per cell
# Calculated total energy ... -51.08 eV/atom
data_HfPt3
_chemical_formula_sum 'Hf1 Pt3'
_space_group_name_H-M_alt 'P m -3 m'
_space_group_IT_number 221
_space_group_name_Hall '-P 4 2 3'
_cell_length_a 4.002
_cell_length_b 4.002
_cell_length_c 4.002
_cell_angle_alpha 90.00
_cell_angle_beta 90.00
_cell_angle_gamma 90.00
loop_
_atom_site_label
_atom_site_type_symbol
_atom_site_fract_x
_atom_site_fract_y
_atom_site_fract_z
Hf1 Hf 0.000 0.000 0.000
Pt1 Pt 0.000 0.500 0.500

=====

No. 7
# HfPt r2SCAN optimized geometry
# M_tot ... 0.00 μB per cell
# Calculated total energy ... -49.58 eV/atom
data_HfPt
_chemical_formula_sum 'Hf4 Pt4'
_space_group_name_H-M_alt 'C m c m'
_space_group_IT_number 63
_space_group_name_Hall '-C 2c 2'
_cell_length_a 3.370
_cell_length_b 10.320
_cell_length_c 4.263
_cell_angle_alpha 90.00
_cell_angle_beta 90.00
_cell_angle_gamma 90.00
loop_
_atom_site_label
_atom_site_type_symbol
_atom_site_fract_x
_atom_site_fract_y
_atom_site_fract_z
Hf1 Hf 0.000 0.142 0.250
Pt1 Pt 0.000 0.407 0.250

=====

No. 8
# Rb2HfS4 r2SCAN optimized geometry
# M_tot ... 0.00 μB per cell
# Calculated total energy ... -16.52 eV/atom
data_Rb2HfS4
_chemical_formula_sum 'Rb16 Hf8 S32'
_space_group_name_H-M_alt 'P b c a'
_space_group_IT_number 61
_space_group_name_Hall '-P 2ac 2ab'
_cell_length_a 6.723
_cell_length_b 23.921
_cell_length_c 9.829
_cell_angle_alpha 90.00
_cell_angle_beta 90.00
_cell_angle_gamma 90.00
loop_
_atom_site_label
_atom_site_type_symbol
_atom_site_fract_x
_atom_site_fract_y
_atom_site_fract_z
Rb1 Rb 0.047 0.199 0.072
Rb2 Rb 0.193 0.534 0.358
Hf1 Hf 0.034 0.131 0.674
S1 S 0.053 0.159 0.421
S2 S 0.126 0.589 0.040
S3 S 0.154 0.569 0.671
S4 S 0.231 0.701 0.771

=====

No. 9
# Hf5Re24 r2SCAN optimized geometry
# M_tot ... 0.00 μB per cell
# Calculated total energy ... -51.47 eV/atom
data_Hf5Re24
_chemical_formula_sum 'Hf10 Re48'
_space_group_name_H-M_alt 'I -4 3 m'
_space_group_IT_number 217
_space_group_name_Hall 'I -4 2 3'
_cell_length_a 9.730
_cell_length_b 9.730
_cell_length_c 9.730
_cell_angle_alpha 90.00
_cell_angle_beta 90.00
_cell_angle_gamma 90.00
loop_
_atom_site_label
_atom_site_type_symbol
_atom_site_fract_x
_atom_site_fract_y
_atom_site_fract_z
Hf1 Hf 0.000 0.000 0.000
Hf2 Hf 0.186 0.186 0.186
Re1 Re 0.036 0.360 0.640
Re2 Re 0.091 0.091 0.715

=====

No. 10
# Hf2ReRh r2SCAN optimized geometry
# M_tot ... 0.00 μB per cell
# Calculated total energy ... -42.49 eV/atom
data_Hf2ReRh
_chemical_formula_sum 'Hf8 Re4 Rh4'
_space_group_name_H-M_alt 'F m -3 m'
_space_group_IT_number 225
_space_group_name_Hall '-F 4 2 3'
_cell_length_a 6.501
_cell_length_b 6.501
_cell_length_c 6.501
_cell_angle_alpha 90.00
_cell_angle_beta 90.00
_cell_angle_gamma 90.00
loop_
_atom_site_label
_atom_site_type_symbol
_atom_site_fract_x
_atom_site_fract_y
_atom_site_fract_z
Hf1 Hf 0.250 0.250 0.250
Re1 Re 0.000 0.000 0.000
Rh1 Rh 0.000 0.000 0.500

=====

No. 11
# Hf9Re4Si r2SCAN optimized geometry
# M_tot ... 0.00 μB per cell
# Calculated total energy ... -45.06 eV/atom
data_Hf9Re4Si
_chemical_formula_sum 'Hf18 Re8 Si2'
_space_group_name_H-M_alt 'P 63/m m c'
_space_group_IT_number 194
_space_group_name_Hall '-P 6c 2c'
_cell_length_a 8.5349
_cell_length_b 8.5349
_cell_length_c 8.6266
_cell_angle_alpha 90.00
_cell_angle_beta 90.00
_cell_angle_gamma 120.00
loop_
_atom_site_label
_atom_site_type_symbol
_atom_site_fract_x
_atom_site_fract_y
_atom_site_fract_z
Hf1 Hf 0.0808 0.5404 0.2500
Hf2 Hf 0.1944 0.3888 0.5485
Re1 Re 0.0000 0.0000 0.0000
Re2 Re 0.1097 0.2194 0.2500
Si1 Si 0.3333 0.6667 0.7500

=====

No. 12
# HfTaRe2 r2SCAN optimized geometry
# M_tot ... 0.00 μB per cell
# Calculated total energy ... -50.12 eV/atom
data_HfTaRe2
_chemical_formula_sum 'Hf4 Ta4 Re8'
_space_group_name_H-M_alt 'F m -3 m'
_space_group_IT_number 225
_space_group_name_Hall '-F 4 2 3'
_cell_length_a 6.448
_cell_length_b 6.448
_cell_length_c 6.448
_cell_angle_alpha 90.00
_cell_angle_beta 90.00
_cell_angle_gamma 90.00
loop_
_atom_site_label
_atom_site_type_symbol
_atom_site_fract_x
_atom_site_fract_y
_atom_site_fract_z
Hf1 Hf 0.000 0.000 0.000
Ta1 Ta 0.000 0.000 0.500
Re1 Re 0.250 0.250 0.250